No. 1
VASP calculation (meta-GGA r2SCAN) on a relaxed structure of Co2P2O7.

Cell lengths 5.251, 5.285, 8.948 Å; angles 97.94, 98.12, 103.85 degrees
Fractional positions:
Co (0.000, 0.000, 0.000)
Co (0.006, 0.005, 0.496)
Co (0.618, 0.375, 0.993)
Co (0.626, 0.385, 0.495)
P (0.088, 0.472, 0.793)
P (0.091, 0.470, 0.293)
P (0.527, 0.906, 0.700)
P (0.530, 0.903, 0.200)
O (0.234, 0.306, 0.385)
O (0.235, 0.316, 0.889)
O (0.307, 0.693, 0.748)
O (0.315, 0.685, 0.248)
O (0.383, 0.058, 0.103)
O (0.385, 0.070, 0.609)
O (0.686, 0.762, 0.606)
O (0.689, 0.069, 0.352)
O (0.692, 0.064, 0.853)
O (0.696, 0.762, 0.109)
O (0.921, 0.612, 0.883)
O (0.929, 0.314, 0.140)
O (0.933, 0.615, 0.388)
O (0.934, 0.311, 0.639)

Computed properties:
As for the size of the total moment: 0.00 μB/f.u. The volume comes out at 10.67 Å³/atom. The value obtained for the calculated formation energy is -2.014 eV/atom.

No. 2
VASP calculation (meta-GGA r2SCAN) on a relaxed structure of CoP3O9.

Cell lengths 4.867, 11.601, 12.679 Å; angles 90.00, 90.00, 90.00 degrees
Fractional positions:
Co (0.000, 0.000, 0.000)
Co (0.000, 0.000, 0.500)
Co (0.000, 0.500, 0.000)
Co (0.000, 0.500, 0.500)
P (0.233, 0.250, 0.000)
P (0.233, 0.250, 0.500)
P (0.491, 0.579, 0.130)
P (0.491, 0.579, 0.370)
P (0.491, 0.921, 0.630)
P (0.491, 0.921, 0.870)
P (0.509, 0.079, 0.130)
P (0.509, 0.079, 0.370)
P (0.509, 0.421, 0.630)
P (0.509, 0.421, 0.870)
P (0.767, 0.750, 0.000)
P (0.767, 0.750, 0.500)
O (0.078, 0.152, 0.547)
O (0.078, 0.152, 0.953)
O (0.078, 0.348, 0.047)
O (0.078, 0.348, 0.453)
O (0.189, 0.559, 0.121)
O (0.189, 0.559, 0.379)
O (0.189, 0.941, 0.621)
O (0.189, 0.941, 0.879)
O (0.323, 0.510, 0.584)
O (0.323, 0.510, 0.916)
O (0.323, 0.990, 0.084)
O (0.323, 0.990, 0.416)
O (0.437, 0.097, 0.250)
O (0.437, 0.204, 0.088)
O (0.437, 0.204, 0.412)
O (0.437, 0.296, 0.588)
O (0.437, 0.296, 0.912)
O (0.437, 0.403, 0.750)
O (0.563, 0.597, 0.250)
O (0.563, 0.704, 0.088)
O (0.563, 0.704, 0.412)
O (0.563, 0.796, 0.588)
O (0.563, 0.796, 0.912)
O (0.563, 0.903, 0.750)
O (0.677, 0.010, 0.584)
O (0.677, 0.010, 0.916)
O (0.677, 0.490, 0.084)
O (0.677, 0.490, 0.416)
O (0.811, 0.059, 0.121)
O (0.811, 0.059, 0.379)
O (0.811, 0.441, 0.621)
O (0.811, 0.441, 0.879)
O (0.922, 0.652, 0.547)
O (0.922, 0.652, 0.953)
O (0.922, 0.848, 0.047)
O (0.922, 0.848, 0.453)

Computed properties:
As for the size of the total moment: 0.00 μB/f.u. The volume comes out at 13.77 Å³/atom. The value obtained for the calculated formation energy is -2.098 eV/atom.

No. 3
VASP calculation (meta-GGA r2SCAN) on a relaxed structure of Co2P2O7.

Cell lengths 4.468, 9.830, 5.374 Å; angles 90.00, 97.47, 90.00 degrees
Fractional positions:
Co (0.115, 0.158, 0.412)
Co (0.115, 0.342, 0.912)
Co (0.885, 0.658, 0.088)
Co (0.885, 0.842, 0.588)
P (0.352, 0.611, 0.653)
P (0.352, 0.889, 0.153)
P (0.648, 0.111, 0.847)
P (0.648, 0.389, 0.347)
O (0.118, 0.683, 0.467)
O (0.118, 0.817, 0.967)
O (0.206, 0.539, 0.857)
O (0.206, 0.961, 0.357)
O (0.390, 0.203, 0.740)
O (0.390, 0.297, 0.240)
O (0.500, 0.000, 0.000)
O (0.500, 0.500, 0.500)
O (0.610, 0.703, 0.760)
O (0.610, 0.797, 0.260)
O (0.794, 0.039, 0.643)
O (0.794, 0.461, 0.143)
O (0.882, 0.183, 0.033)
O (0.882, 0.317, 0.533)

Computed properties:
As for the size of the total moment: 6.00 μB/f.u. The volume comes out at 10.64 Å³/atom. The value obtained for the calculated formation energy is -2.022 eV/atom.

Q: Which value of size of the total moment does entry 2 give?
A: 0.00 μB/f.u.

Q: Number 3 is which compound?
A: Co2P2O7